The following is a GGA+U calculation of a geometry-optimized MnH44C12N8Cl2O10 structure, from Materials Project.

Summary:
total energy: -5.516 eV per atom
V: 9.76 A^3/atom
E_form: -0.57 eV/atom

Lattice parameters (Å, degrees): 9.559 9.658 9.732 119.66 105.19 86.08
Fractional positions:
1 Mn 0.500 0.000 0.500
2 H 0.712 0.756 0.402
3 H 0.288 0.244 0.598
4 H 0.631 0.777 0.248
5 H 0.369 0.223 0.752
6 H 0.627 0.946 0.770
7 H 0.373 0.054 0.230
8 H 0.692 0.120 0.827
9 H 0.308 0.880 0.173
10 H 0.694 0.190 0.453
11 H 0.306 0.810 0.547
12 H 0.635 0.310 0.606
13 H 0.365 0.690 0.394
14 H 0.799 0.268 0.095
15 H 0.201 0.732 0.905
16 H 0.909 0.276 0.004
17 H 0.091 0.724 0.996
18 H 0.836 0.529 0.408
19 H 0.164 0.471 0.592
20 H 0.948 0.680 0.519
21 H 0.052 0.320 0.481
22 H 0.651 0.957 0.089
23 H 0.349 0.043 0.911
24 H 0.493 0.824 0.949
25 H 0.507 0.176 0.051
26 H 0.651 0.469 0.945
27 H 0.349 0.531 0.055
28 H 0.493 0.547 0.867
29 H 0.507 0.453 0.133
30 H 0.660 0.617 0.609
31 H 0.340 0.383 0.391
32 H 0.498 0.632 0.675
33 H 0.502 0.368 0.325
34 H 0.863 0.853 0.194
35 H 0.137 0.147 0.806
36 H 0.862 0.645 0.133
37 H 0.138 0.355 0.867
38 H 0.871 0.795 0.797
39 H 0.129 0.205 0.203
40 H 0.866 0.938 0.002
41 H 0.134 0.062 0.998
42 H 0.870 0.513 0.713
43 H 0.130 0.487 0.287
44 H 0.866 0.451 0.857
45 H 0.134 0.549 0.143
46 C 0.612 0.835 0.987
47 C 0.388 0.165 0.013
48 C 0.612 0.557 0.906
49 C 0.388 0.443 0.094
50 C 0.617 0.641 0.712
51 C 0.383 0.359 0.288
52 C 0.824 0.732 0.092
53 C 0.176 0.268 0.908
54 C 0.829 0.817 0.900
55 C 0.171 0.183 0.100
56 C 0.829 0.538 0.817
57 C 0.171 0.462 0.183
58 N 0.668 0.805 0.847
59 N 0.332 0.195 0.153
60 N 0.663 0.720 0.044
61 N 0.337 0.280 0.956
62 N 0.668 0.521 0.764
63 N 0.332 0.479 0.236
64 N 0.884 0.701 0.954
65 N 0.116 0.299 0.046
66 Cl 0.817 0.270 0.325
67 Cl 0.183 0.730 0.675
68 O 0.630 0.806 0.361
69 O 0.370 0.194 0.639
70 O 0.621 0.030 0.738
71 O 0.379 0.970 0.262
72 O 0.638 0.194 0.526
73 O 0.362 0.806 0.474
74 O 0.803 0.273 0.997
75 O 0.197 0.727 0.003
76 O 0.846 0.646 0.453
77 O 0.154 0.354 0.547


The following is a GGA+U calculation of a geometry-optimized MnH12C2NCl3O2 structure, from Materials Project.

Summary:
total energy: -4.984 eV per atom
energy above the most stable polymorph in this dataset: 0 meV per atom
V: 12.18 A^3/atom
E_form: -0.74 eV/atom

Lattice parameters (Å, degrees): 10.747 10.747 9.397 90.00 90.00 109.55
Fractional positions:
1 Mn 0.268 0.268 0.714
2 Mn 0.732 0.732 0.286
3 Mn 0.232 0.232 0.214
4 Mn 0.768 0.768 0.786
5 H 0.987 0.324 0.911
6 H 0.676 0.013 0.089
7 H 0.176 0.513 0.411
8 H 0.487 0.824 0.589
9 H 0.013 0.676 0.089
10 H 0.324 0.987 0.911
11 H 0.824 0.487 0.589
12 H 0.513 0.176 0.411
13 H 0.820 0.312 0.871
14 H 0.688 0.180 0.129
15 H 0.188 0.680 0.371
16 H 0.320 0.812 0.629
17 H 0.180 0.688 0.129
18 H 0.312 0.820 0.871
19 H 0.812 0.320 0.629
20 H 0.680 0.188 0.371
21 H 0.139 0.616 0.545
22 H 0.384 0.861 0.455
23 H 0.884 0.361 0.045
24 H 0.639 0.116 0.955
25 H 0.861 0.384 0.455
26 H 0.616 0.139 0.545
27 H 0.116 0.639 0.955
28 H 0.361 0.884 0.045
29 H 0.988 0.155 0.659
30 H 0.845 0.012 0.341
31 H 0.345 0.512 0.159
32 H 0.488 0.655 0.841
33 H 0.012 0.845 0.341
34 H 0.155 0.988 0.659
35 H 0.655 0.488 0.841
36 H 0.512 0.345 0.159
37 H 0.254 0.442 0.033
38 H 0.558 0.746 0.967
39 H 0.058 0.246 0.533
40 H 0.754 0.942 0.467
41 H 0.746 0.558 0.967
42 H 0.442 0.254 0.033
43 H 0.942 0.754 0.467
44 H 0.246 0.058 0.533
45 H 0.350 0.599 0.583
46 H 0.401 0.650 0.417
47 H 0.901 0.150 0.083
48 H 0.850 0.099 0.917
49 H 0.650 0.401 0.417
50 H 0.599 0.350 0.583
51 H 0.099 0.850 0.917
52 H 0.150 0.901 0.083
53 C 0.887 0.299 0.953
54 C 0.701 0.113 0.047
55 C 0.201 0.613 0.453
56 C 0.387 0.799 0.547
57 C 0.113 0.701 0.047
58 C 0.299 0.887 0.953
59 C 0.799 0.387 0.547
60 C 0.613 0.201 0.453
61 N 0.341 0.659 0.500
62 N 0.841 0.159 0.000
63 N 0.659 0.341 0.500
64 N 0.159 0.841 0.000
65 Cl 0.166 0.166 0.952
66 Cl 0.834 0.834 0.048
67 Cl 0.334 0.334 0.452
68 Cl 0.666 0.666 0.548
69 Cl 0.291 0.503 0.791
70 Cl 0.497 0.709 0.209
71 Cl 0.997 0.209 0.291
72 Cl 0.791 0.003 0.709
73 Cl 0.709 0.497 0.209
74 Cl 0.503 0.291 0.791
75 Cl 0.003 0.791 0.709
76 Cl 0.209 0.997 0.291
77 O 0.262 0.439 0.137
78 O 0.561 0.738 0.863
79 O 0.061 0.238 0.637
80 O 0.762 0.939 0.363
81 O 0.738 0.561 0.863
82 O 0.439 0.262 0.137
83 O 0.939 0.762 0.363
84 O 0.238 0.061 0.637


The following is a GGA+U calculation of a geometry-optimized MnH10CNCl3O2 structure, from Materials Project.

Summary:
total energy: -4.912 eV per atom
V: 11.69 A^3/atom
E_form: -0.85 eV/atom

Lattice parameters (Å, degrees): 9.136 7.950 11.594 88.04 90.00 90.00
Fractional positions:
1 Mn 0.498 0.963 0.751
2 Mn 0.998 0.037 0.749
3 Mn 0.002 0.963 0.251
4 Mn 0.502 0.037 0.249
5 H 0.526 0.834 0.052
6 H 0.175 0.186 0.378
7 H 0.915 0.380 0.353
8 H 0.012 0.811 0.946
9 H 0.512 0.189 0.554
10 H 0.678 0.444 0.433
11 H 0.720 0.636 0.914
12 H 0.791 0.354 0.250
13 H 0.280 0.364 0.086
14 H 0.585 0.380 0.853
15 H 0.675 0.814 0.122
16 H 0.827 0.167 0.103
17 H 0.173 0.833 0.897
18 H 0.825 0.814 0.622
19 H 0.392 0.470 0.253
20 H 0.220 0.364 0.586
21 H 0.085 0.620 0.647
22 H 0.209 0.646 0.750
23 H 0.673 0.167 0.603
24 H 0.144 0.416 0.189
25 H 0.709 0.354 0.750
26 H 0.856 0.584 0.811
27 H 0.322 0.556 0.567
28 H 0.415 0.620 0.147
29 H 0.178 0.556 0.067
30 H 0.644 0.584 0.311
31 H 0.780 0.636 0.414
32 H 0.026 0.166 0.448
33 H 0.608 0.530 0.747
34 H 0.974 0.834 0.552
35 H 0.291 0.646 0.250
36 H 0.988 0.189 0.054
37 H 0.474 0.166 0.948
38 H 0.327 0.833 0.397
39 H 0.356 0.416 0.689
40 H 0.892 0.530 0.247
41 H 0.325 0.186 0.878
42 H 0.108 0.470 0.753
43 H 0.488 0.811 0.446
44 H 0.822 0.444 0.933
45 C 0.773 0.532 0.870
46 C 0.273 0.468 0.630
47 C 0.727 0.532 0.370
48 C 0.227 0.468 0.130
49 N 0.339 0.557 0.198
50 N 0.661 0.443 0.802
51 N 0.839 0.443 0.302
52 N 0.161 0.557 0.698
53 Cl 0.096 0.254 0.885
54 Cl 0.751 0.012 0.344
55 Cl 0.249 0.988 0.656
56 Cl 0.589 0.264 0.107
57 Cl 0.251 0.988 0.156
58 Cl 0.404 0.254 0.385
59 Cl 0.904 0.746 0.115
60 Cl 0.749 0.012 0.844
61 Cl 0.089 0.736 0.393
62 Cl 0.596 0.746 0.615
63 Cl 0.411 0.736 0.893
64 Cl 0.911 0.264 0.607
65 O 0.067 0.169 0.369
66 O 0.567 0.831 0.131
67 O 0.933 0.831 0.631
68 O 0.069 0.828 0.874
69 O 0.431 0.828 0.374
70 O 0.433 0.169 0.869
71 O 0.569 0.172 0.626
72 O 0.931 0.172 0.126


The following is a GGA+U calculation of a geometry-optimized MnH18C4N8Cl4O4 structure, from Materials Project.

Summary:
total energy: -5.737 eV per atom
V: 10.78 A^3/atom
E_form: -0.70 eV/atom

Lattice parameters (Å, degrees): 11.508 6.419 11.967 72.06 90.00 90.00
Fractional positions:
1 Mn 0.000 0.000 0.500
2 Mn 0.500 0.000 0.000
3 H 0.786 0.206 0.501
4 H 0.714 0.206 0.001
5 H 0.214 0.794 0.499
6 H 0.286 0.794 0.999
7 H 0.888 0.365 0.504
8 H 0.612 0.365 0.004
9 H 0.112 0.635 0.496
10 H 0.388 0.635 0.996
11 H 0.712 0.206 0.792
12 H 0.788 0.206 0.292
13 H 0.288 0.794 0.208
14 H 0.212 0.794 0.708
15 H 0.824 0.183 0.696
16 H 0.676 0.183 0.196
17 H 0.176 0.817 0.304
18 H 0.324 0.817 0.804
19 H 0.006 0.167 0.745
20 H 0.494 0.167 0.245
21 H 0.994 0.833 0.255
22 H 0.506 0.833 0.755
23 H 0.267 0.263 0.863
24 H 0.233 0.263 0.363
25 H 0.733 0.737 0.137
26 H 0.767 0.737 0.637
27 H 0.193 0.223 0.741
28 H 0.307 0.223 0.241
29 H 0.807 0.777 0.259
30 H 0.693 0.777 0.759
31 H 0.157 0.314 0.017
32 H 0.343 0.314 0.517
33 H 0.843 0.686 0.983
34 H 0.657 0.686 0.483
35 H 0.003 0.293 0.012
36 H 0.497 0.293 0.512
37 H 0.997 0.707 0.988
38 H 0.503 0.707 0.488
39 C 0.877 0.226 0.852
40 C 0.623 0.226 0.352
41 C 0.123 0.774 0.148
42 C 0.377 0.774 0.648
43 C 0.090 0.251 0.874
44 C 0.410 0.251 0.374
45 C 0.910 0.749 0.126
46 C 0.590 0.749 0.626
47 N 0.799 0.202 0.775
48 N 0.701 0.202 0.275
49 N 0.201 0.798 0.225
50 N 0.299 0.798 0.725
51 N 0.992 0.215 0.818
52 N 0.508 0.215 0.318
53 N 0.008 0.785 0.182
54 N 0.492 0.785 0.682
55 N 0.191 0.239 0.824
56 N 0.309 0.239 0.324
57 N 0.809 0.761 0.176
58 N 0.691 0.761 0.676
59 N 0.082 0.294 0.976
60 N 0.418 0.294 0.476
61 N 0.918 0.706 0.024
62 N 0.582 0.706 0.524
63 Cl 0.000 0.794 0.709
64 Cl 0.500 0.794 0.209
65 Cl 0.000 0.206 0.291
66 Cl 0.500 0.206 0.791
67 Cl 0.140 0.271 0.545
68 Cl 0.360 0.271 0.045
69 Cl 0.860 0.729 0.455
70 Cl 0.640 0.729 0.955
71 O 0.866 0.209 0.533
72 O 0.634 0.209 0.033
73 O 0.134 0.791 0.467
74 O 0.366 0.791 0.967
75 O 0.852 0.254 0.949
76 O 0.648 0.254 0.449
77 O 0.148 0.746 0.051
78 O 0.352 0.746 0.551


The following is a GGA+U calculation of a geometry-optimized MnH12C2NCl3O2 structure, from Materials Project.

Summary:
total energy: -4.543 eV per atom
energy above the most stable polymorph in this dataset: 441 meV per atom
V: 18.14 A^3/atom
E_form: -0.30 eV/atom

Lattice parameters (Å, degrees): 11.737 11.737 11.799 90.00 90.00 110.37
Fractional positions:
1 Mn 0.379 0.379 0.614
2 Mn 0.621 0.621 0.386
3 Mn 0.121 0.121 0.114
4 Mn 0.879 0.879 0.886
5 H 0.818 0.778 0.724
6 H 0.222 0.182 0.276
7 H 0.722 0.682 0.224
8 H 0.318 0.278 0.776
9 H 0.182 0.222 0.276
10 H 0.778 0.818 0.724
11 H 0.278 0.318 0.776
12 H 0.682 0.722 0.224
13 H 0.508 0.252 0.009
14 H 0.748 0.492 0.991
15 H 0.248 0.992 0.509
16 H 0.008 0.752 0.491
17 H 0.492 0.748 0.991
18 H 0.252 0.508 0.009
19 H 0.752 0.008 0.491
20 H 0.992 0.248 0.509
21 H 0.598 0.340 0.564
22 H 0.660 0.402 0.436
23 H 0.160 0.902 0.064
24 H 0.098 0.840 0.936
25 H 0.402 0.660 0.436
26 H 0.340 0.598 0.564
27 H 0.840 0.098 0.936
28 H 0.902 0.160 0.064
29 H 0.308 0.970 0.916
30 H 0.030 0.692 0.084
31 H 0.530 0.192 0.416
32 H 0.808 0.470 0.584
33 H 0.692 0.030 0.084
34 H 0.970 0.308 0.916
35 H 0.470 0.808 0.584
36 H 0.192 0.530 0.416
37 H 0.294 0.816 0.884
38 H 0.184 0.706 0.116
39 H 0.684 0.206 0.384
40 H 0.794 0.316 0.616
41 H 0.706 0.184 0.116
42 H 0.816 0.294 0.884
43 H 0.316 0.794 0.616
44 H 0.206 0.684 0.384
45 H 0.618 0.147 0.519
46 H 0.853 0.382 0.481
47 H 0.353 0.882 0.019
48 H 0.118 0.647 0.981
49 H 0.382 0.853 0.481
50 H 0.147 0.618 0.519
51 H 0.647 0.118 0.981
52 H 0.882 0.353 0.019
53 C 0.287 0.879 0.951
54 C 0.121 0.713 0.049
55 C 0.621 0.213 0.451
56 C 0.787 0.379 0.549
57 C 0.713 0.121 0.049
58 C 0.879 0.287 0.951
59 C 0.379 0.787 0.549
60 C 0.213 0.621 0.451
61 N 0.663 0.337 0.500
62 N 0.163 0.837 0.000
63 N 0.337 0.663 0.500
64 N 0.837 0.163 0.000
65 Cl 0.147 0.147 0.931
66 Cl 0.853 0.853 0.069
67 Cl 0.353 0.353 0.431
68 Cl 0.647 0.647 0.569
69 Cl 0.513 0.263 0.901
70 Cl 0.737 0.487 0.099
71 Cl 0.237 0.987 0.401
72 Cl 0.013 0.763 0.599
73 Cl 0.487 0.737 0.099
74 Cl 0.263 0.513 0.901
75 Cl 0.763 0.013 0.599
76 Cl 0.987 0.237 0.401
77 O 0.171 0.007 0.154
78 O 0.993 0.829 0.846
79 O 0.493 0.329 0.654
80 O 0.671 0.507 0.346
81 O 0.829 0.993 0.846
82 O 0.007 0.171 0.154
83 O 0.507 0.671 0.346
84 O 0.329 0.493 0.654